The following is a r2SCAN calculation of a geometry-optimized YB4Mo structure, from the Materials Project.

## Properties
Calculated total energy (eV/atom): -13.300
Space-group type: Pbam, No. 55
ΔE_f (kcal/mol of atoms): -15.48

Cell: 6.0276 11.6419 3.6233 Å, 90.00 90.00 90.00°
Last column: nearest neighbours and their distance in Å.
Fractional coordinates of all 24 atoms:
1 Y 0.1273 0.1496 0.0000  14 B 2.67-2.82
2 Y 0.3727 0.6496 0.0000  14 B 2.67-2.82
3 Y 0.6273 0.3504 0.0000  14 B 2.67-2.82
4 Y 0.8727 0.8504 0.0000  14 B 2.67-2.82
5 B 0.0237 0.6932 0.5000  3 B 1.78-1.87
6 B 0.1137 0.5473 0.5000  3 B 1.76-1.78
7 B 0.1338 0.9681 0.5000  3 B 1.78-1.86
8 B 0.2137 0.8141 0.5000  3 B 1.81-1.87
9 B 0.2863 0.3141 0.5000  3 B 1.81-1.87
10 B 0.3662 0.4681 0.5000  3 B 1.78-1.86
11 B 0.3863 0.0473 0.5000  3 B 1.76-1.78
12 B 0.4763 0.1932 0.5000  3 B 1.78-1.87
13 B 0.5237 0.8068 0.5000  3 B 1.78-1.87
14 B 0.6137 0.9527 0.5000  3 B 1.76-1.78
15 B 0.6338 0.5319 0.5000  3 B 1.78-1.86
16 B 0.7137 0.6859 0.5000  3 B 1.81-1.87
17 B 0.7863 0.1859 0.5000  3 B 1.81-1.87
18 B 0.8662 0.0319 0.5000  3 B 1.78-1.86
19 B 0.8863 0.4527 0.5000  3 B 1.76-1.78
20 B 0.9763 0.3068 0.5000  3 B 1.78-1.87
21 Mo 0.1288 0.4170 0.0000  10 B 2.36-2.40, 1 Mo 2.48
22 Mo 0.3712 0.9170 0.0000  10 B 2.36-2.40, 1 Mo 2.48
23 Mo 0.6288 0.0830 0.0000  10 B 2.36-2.40, 1 Mo 2.48
24 Mo 0.8712 0.5830 0.0000  10 B 2.36-2.40, 1 Mo 2.48

***

The following is a r2SCAN calculation of a geometry-optimized Zr3Al2 structure, from the Materials Project.

## Properties
Calculated total energy (eV/atom): -16.793
Space-group type: P4_2/mnm, No. 136
ΔE_f (kcal/mol of atoms): -10.39

Cell: 7.6536 7.6536 6.9833 Å, 90.00 90.00 90.00°
Last column: nearest neighbours and their distance in Å.
Fractional coordinates of all 20 atoms:
1 Zr 0.0000 0.5000 0.2500  4 Al 3.06, 8 Zr 3.27-3.37
2 Zr 0.0000 0.5000 0.7500  4 Al 3.06, 8 Zr 3.27-3.37
3 Zr 0.1586 0.1586 0.0000  6 Al 2.82-2.93
4 Zr 0.1972 0.1972 0.5000  6 Al 2.80-2.92
5 Zr 0.3028 0.6972 0.0000  6 Al 2.80-2.92
6 Zr 0.3414 0.6586 0.5000  6 Al 2.82-2.93
7 Zr 0.5000 0.0000 0.2500  4 Al 3.06, 8 Zr 3.27-3.37
8 Zr 0.5000 0.0000 0.7500  4 Al 3.06, 8 Zr 3.27-3.37
9 Zr 0.6586 0.3414 0.5000  6 Al 2.82-2.93
10 Zr 0.6972 0.3028 0.0000  6 Al 2.80-2.92
11 Zr 0.8028 0.8028 0.5000  6 Al 2.80-2.92
12 Zr 0.8414 0.8414 0.0000  6 Al 2.82-2.93
13 Al 0.1208 0.8792 0.2842  1 Al 2.61, 4 Zr 2.80-2.92
14 Al 0.1208 0.8792 0.7158  1 Al 2.61, 4 Zr 2.80-2.92
15 Al 0.3792 0.3792 0.2158  1 Al 2.61, 4 Zr 2.80-2.92
16 Al 0.3792 0.3792 0.7842  1 Al 2.61, 4 Zr 2.80-2.92
17 Al 0.6208 0.6208 0.2158  1 Al 2.61, 4 Zr 2.80-2.92
18 Al 0.6208 0.6208 0.7842  1 Al 2.61, 4 Zr 2.80-2.92
19 Al 0.8792 0.1208 0.2842  1 Al 2.61, 4 Zr 2.80-2.92
20 Al 0.8792 0.1208 0.7158  1 Al 2.61, 4 Zr 2.80-2.92

***

The following is a r2SCAN calculation of a geometry-optimized Er2Ga9Co3 structure, from the Materials Project.

## Properties
Calculated total energy (eV/atom): -15.507
Space-group type: Cmcm, No. 63
ΔE_f (kcal/mol of atoms): -10.80

Cell: 7.2444 7.2444 9.3075 Å, 90.00 90.00 60.27°
Last column: nearest neighbours and their distance in Å.
Fractional coordinates of all 28 atoms:
1 Er 0.0029 0.6687 0.7500  11 Ga 2.93-2.99
2 Er 0.3313 0.9971 0.7500  11 Ga 2.93-2.99
3 Er 0.6687 0.0029 0.2500  11 Ga 2.93-2.99
4 Er 0.9971 0.3313 0.2500  11 Ga 2.93-2.99
5 Ga 0.0009 0.6656 0.0715  3 Co 2.46-2.51, 4 Ga 2.69-2.75
6 Ga 0.0009 0.6656 0.4285  3 Co 2.46-2.51, 4 Ga 2.69-2.75
7 Ga 0.1223 0.8777 0.2500  2 Co 2.49, 6 Ga 2.69
8 Ga 0.3343 0.6657 0.5586  3 Co 2.49-2.52, 5 Ga 2.65-2.75
9 Ga 0.3343 0.6657 0.9414  3 Co 2.49-2.52, 5 Ga 2.65-2.75
10 Ga 0.3344 0.9991 0.0715  3 Co 2.46-2.51, 4 Ga 2.69-2.75
11 Ga 0.3344 0.9991 0.4285  3 Co 2.46-2.51, 4 Ga 2.69-2.75
12 Ga 0.3362 0.4505 0.2500  2 Co 2.50, 6 Ga 2.67-2.75
13 Ga 0.4505 0.3362 0.7500  2 Co 2.50, 6 Ga 2.67-2.75
14 Ga 0.5495 0.6638 0.2500  2 Co 2.50, 6 Ga 2.67-2.75
15 Ga 0.6638 0.5495 0.7500  2 Co 2.50, 6 Ga 2.67-2.75
16 Ga 0.6656 0.0009 0.5715  3 Co 2.46-2.51, 4 Ga 2.69-2.75
17 Ga 0.6656 0.0009 0.9285  3 Co 2.46-2.51, 4 Ga 2.69-2.75
18 Ga 0.6657 0.3343 0.0586  3 Co 2.49-2.52, 5 Ga 2.65-2.75
19 Ga 0.6657 0.3343 0.4414  3 Co 2.49-2.52, 5 Ga 2.65-2.75
20 Ga 0.8777 0.1223 0.7500  2 Co 2.49, 6 Ga 2.69
21 Ga 0.9991 0.3344 0.5715  3 Co 2.46-2.51, 4 Ga 2.69-2.75
22 Ga 0.9991 0.3344 0.9285  3 Co 2.46-2.51, 4 Ga 2.69-2.75
23 Co 0.0000 0.0000 0.0000  8 Ga 2.49-2.51
24 Co 0.0000 0.0000 0.5000  8 Ga 2.49-2.51
25 Co 0.3290 0.3290 0.0000  8 Ga 2.46-2.52
26 Co 0.3290 0.3290 0.5000  8 Ga 2.46-2.52
27 Co 0.6710 0.6710 0.0000  8 Ga 2.46-2.52
28 Co 0.6710 0.6710 0.5000  8 Ga 2.46-2.52

***

The following is a r2SCAN calculation of a geometry-optimized Cs2CuF6 structure, from the Materials Project.

## Properties
Calculated total energy (eV/atom): -11.059
Space-group type: I4/mmm, No. 139
ΔE_f (kcal/mol of atoms): -50.50

Cell: 6.2395 6.2395 6.2395 Å, 118.57 118.57 92.50°
Last column: nearest neighbours and their distance in Å.
Fractional coordinates of all 9 atoms:
1 Cs 0.2500 0.7500 0.5000  12 F 3.14-3.21
2 Cs 0.7500 0.2500 0.5000  12 F 3.14-3.21
3 Cu 0.0000 0.0000 0.0000  6 F 1.76-1.86
4 F 0.2044 0.2044 0.0000  1 Cu 1.76
5 F 0.2069 0.2069 0.4138  1 Cu 1.86
6 F 0.2069 0.7931 0.0000  1 Cu 1.86
7 F 0.7931 0.2069 0.0000  1 Cu 1.86
8 F 0.7931 0.7931 0.5862  1 Cu 1.86
9 F 0.7956 0.7956 0.0000  1 Cu 1.76

***

The following is a r2SCAN calculation of a geometry-optimized CsTi6Se8 structure, from the Materials Project.

## Properties
Calculated total energy (eV/atom): -15.874
Space-group type: P-1, No. 2
ΔE_f (kcal/mol of atoms): -32.10

Cell: 3.6591 10.0022 10.0209 Å, 119.63 90.00 90.02°
Last column: nearest neighbours and their distance in Å.
Fractional coordinates of all 15 atoms:
1 Cs 0.0000 0.0000 0.0000  6 Se 3.46-3.47, 2 Cs 3.66
2 Ti 0.2480 0.4892 0.1299  6 Se 2.55-2.71
3 Ti 0.2482 0.6381 0.5087  6 Se 2.55-2.73
4 Ti 0.2479 0.8704 0.3614  6 Se 2.54-2.73
5 Ti 0.7521 0.1296 0.6386  6 Se 2.54-2.73
6 Ti 0.7518 0.3619 0.4913  6 Se 2.55-2.73
7 Ti 0.7520 0.5108 0.8701  6 Se 2.55-2.71
8 Se 0.2512 0.3335 0.6663  6 Ti 2.64-2.66
9 Se 0.2538 0.3536 0.3061  4 Ti 2.55-2.71
10 Se 0.2548 0.6940 0.0492  4 Ti 2.55-2.73
11 Se 0.2545 0.9518 0.6451  4 Ti 2.54-2.73
12 Se 0.7455 0.0482 0.3549  4 Ti 2.54-2.73
13 Se 0.7452 0.3060 0.9508  4 Ti 2.55-2.73
14 Se 0.7462 0.6464 0.6939  4 Ti 2.55-2.71
15 Se 0.7488 0.6665 0.3337  6 Ti 2.64-2.66

***

The following is a r2SCAN calculation of a geometry-optimized TmCu2Ge2 structure, from the Materials Project.

## Properties
Calculated total energy (eV/atom): -17.426
Space-group type: I4/mmm, No. 139
ΔE_f (kcal/mol of atoms): -11.86

Cell: 3.9819 3.9819 10.2722 Å, 90.00 90.00 90.00°
Last column: nearest neighbours and their distance in Å.
Fractional coordinates of all 10 atoms:
1 Tm 0.0000 0.0000 0.0000  8 Ge 3.07, 8 Cu 3.25
2 Tm 0.5000 0.5000 0.5000  8 Ge 3.07, 8 Cu 3.25
3 Cu 0.0000 0.5000 0.2500  4 Ge 2.41
4 Cu 0.0000 0.5000 0.7500  4 Ge 2.41
5 Cu 0.5000 0.0000 0.2500  4 Ge 2.41
6 Cu 0.5000 0.0000 0.7500  4 Ge 2.41
7 Ge 0.0000 0.0000 0.3820  4 Cu 2.41, 1 Ge 2.42
8 Ge 0.0000 0.0000 0.6180  4 Cu 2.41, 1 Ge 2.42
9 Ge 0.5000 0.5000 0.1180  4 Cu 2.41, 1 Ge 2.42
10 Ge 0.5000 0.5000 0.8820  4 Cu 2.41, 1 Ge 2.42

***

The following is a r2SCAN calculation of a geometry-optimized Ba3Sr structure, from the Materials Project.

## Properties
Calculated total energy (eV/atom): -23.587
Space-group type: Fm-3m, No. 225
Excess energy over the best structure of this formula in the dataset (eV/atom): 0.074
ΔE_f (kcal/mol of atoms): 1.71

Cell: 10.0256 10.0256 10.0256 Å, 90.00 90.00 90.00°
Last column: nearest neighbours and their distance in Å.
Fractional coordinates of all 16 atoms:
1 Ba 0.0000 0.0000 0.0000  8 Ba 4.34
2 Ba 0.0000 0.5000 0.5000  8 Ba 4.34
3 Ba 0.2500 0.2500 0.2500  4 Ba 4.34, 4 Sr 4.34
4 Ba 0.2500 0.2500 0.7500  4 Ba 4.34, 4 Sr 4.34
5 Ba 0.2500 0.7500 0.2500  4 Ba 4.34, 4 Sr 4.34
6 Ba 0.2500 0.7500 0.7500  4 Ba 4.34, 4 Sr 4.34
7 Ba 0.5000 0.0000 0.5000  8 Ba 4.34
8 Ba 0.5000 0.5000 0.0000  8 Ba 4.34
9 Ba 0.7500 0.2500 0.2500  4 Ba 4.34, 4 Sr 4.34
10 Ba 0.7500 0.2500 0.7500  4 Ba 4.34, 4 Sr 4.34
11 Ba 0.7500 0.7500 0.2500  4 Ba 4.34, 4 Sr 4.34
12 Ba 0.7500 0.7500 0.7500  4 Ba 4.34, 4 Sr 4.34
13 Sr 0.0000 0.0000 0.5000  8 Ba 4.34
14 Sr 0.0000 0.5000 0.0000  8 Ba 4.34
15 Sr 0.5000 0.0000 0.0000  8 Ba 4.34
16 Sr 0.5000 0.5000 0.5000  8 Ba 4.34

***

The following is a r2SCAN calculation of a geometry-optimized BeH2 structure, from the Materials Project.

## Properties
Calculated total energy (eV/atom): -3.843
Space-group type: Ibam, No. 72
ΔE_f (kcal/mol of atoms): -2.15

Cell: 6.2334 6.2334 6.2334 Å, 141.58 88.10 104.46°
Last column: nearest neighbours and their distance in Å.
Fractional coordinates of all 18 atoms:
1 Be 0.1686 0.1218 0.2905  4 H 1.43
2 Be 0.2500 0.2500 0.0000  4 H 1.43
3 Be 0.3314 0.6218 0.9532  4 H 1.43
4 Be 0.6686 0.3782 0.0468  4 H 1.43
5 Be 0.7500 0.7500 0.0000  4 H 1.43
6 Be 0.8314 0.8782 0.7095  4 H 1.43
7 H 0.0632 0.9265 0.6863  2 Be 1.43
8 H 0.1885 0.7755 0.9641  2 Be 1.43
9 H 0.2402 0.3769 0.3137  2 Be 1.43
10 H 0.2598 0.5735 0.1366  2 Be 1.43
11 H 0.3115 0.2755 0.5870  2 Be 1.43
12 H 0.4368 0.1231 0.8634  2 Be 1.43
13 H 0.5632 0.8769 0.1366  2 Be 1.43
14 H 0.6885 0.7245 0.4130  2 Be 1.43
15 H 0.7402 0.4265 0.8634  2 Be 1.43
16 H 0.7598 0.6231 0.6863  2 Be 1.43
17 H 0.8115 0.2245 0.0359  2 Be 1.43
18 H 0.9368 0.0735 0.3137  2 Be 1.43